DFT (meta-GGA r2SCAN) results for an optimized crystal structure of PrHo3S6.

Computed properties:
Its space group is P2_1/m. As for the crystal system: monoclinic.

Cell lengths 3.979, 11.042, 11.312 Å; angles 71.17, 90.00, 90.00 degrees
Positions (direct):
Pr (0.750, 0.549, 0.805)
Pr (0.250, 0.451, 0.195)
Ho (0.750, 0.179, 0.998)
Ho (0.250, 0.821, 0.002)
Ho (0.750, 0.942, 0.667)
Ho (0.250, 0.058, 0.333)
Ho (0.750, 0.662, 0.413)
Ho (0.250, 0.338, 0.587)
S (0.750, 0.978, 0.888)
S (0.250, 0.022, 0.112)
S (0.750, 0.303, 0.749)
S (0.250, 0.697, 0.251)
S (0.750, 0.895, 0.441)
S (0.250, 0.105, 0.559)
S (0.750, 0.418, 0.407)
S (0.250, 0.582, 0.593)
S (0.750, 0.234, 0.228)
S (0.250, 0.766, 0.772)
S (0.750, 0.619, 0.036)
S (0.250, 0.381, 0.964)

***

DFT (meta-GGA r2SCAN) results for an optimized crystal structure of Th2Si3Ru.

Computed properties:
Its space group is Imm2. As for the crystal system: orthorhombic.

Cell lengths 7.764, 7.764, 7.764 Å; angles 149.67, 148.41, 44.36 degrees
Positions (direct):
Th (0.748, 0.248, 0.500)
Th (0.003, 0.003, 0.000)
Si (0.583, 0.583, 0.000)
Si (0.330, 0.830, 0.500)
Si (0.419, 0.419, 0.000)
Ru (0.167, 0.667, 0.500)

***

DFT (meta-GGA r2SCAN) results for an optimized crystal structure of DyBi.

Computed properties:
Its space group is Fm-3m. As for the crystal system: cubic.

Cell lengths 4.461, 4.461, 4.461 Å; angles 60.00, 60.00, 60.00 degrees
Positions (direct):
Dy (0.500, 0.500, 0.500)
Bi (0.000, 0.000, 0.000)

***

Number 1: DFT formation energy -23.99 eV/f.u., E_tot -20.0238 eV/atom. Number 2: DFT formation energy -4.85 eV/f.u., E_tot -33.9251 eV/atom. Number 3: DFT formation energy -2.15 eV/f.u., E_tot -46.3165 eV/atom.